# TaCoGe PBE relaxed
data_TaCoGe
_chemical_formula_sum 'Ta4 Co4 Ge4'
_space_group_name_H-M_alt 'P n m a'
_space_group_IT_number 62
_cell_length_a 6.328
_cell_length_b 3.743
_cell_length_c 7.164
_cell_angle_alpha 90.00
_cell_angle_beta 90.00
_cell_angle_gamma 90.00
loop_
_space_group_symop_operation_xyz
'x,y,z'
'-x,-y,-z'
'-x+1/2,-y,z+1/2'
'x+1/2,y,-z+1/2'
'x+1/2,-y+1/2,-z+1/2'
'-x+1/2,y+1/2,z+1/2'
'-x,y+1/2,-z'
'x,-y+1/2,z'
loop_
_atom_site_label
_atom_site_type_symbol
_atom_site_fract_x
_atom_site_fract_y
_atom_site_fract_z
Ta1 Ta 0.020 0.250 0.181
Co1 Co 0.142 0.250 0.564
Ge1 Ge 0.228 0.750 0.381
# - ΔH_f (0 K) (meV per atom) = -422.5
# - crystal system = orthorhombic